Below is Na2CoH8C2O10 after structural relaxation, with properties calculated at the GGA+U level.

a b c (Å): 5.6378 5.6378 14.4161
angles (deg): 84.31 84.31 79.77
Sites, in units of the cell vectors:
Na1 0.4035 0.7558 0.5636
Na2 0.2442 0.5965 0.9364
Na3 0.5965 0.2442 0.4364
Na4 0.7558 0.4035 0.0636
Co1 0.0418 0.9582 0.7500
Co2 0.9582 0.0418 0.2500
H1 0.5340 0.2143 0.6280
H2 0.7857 0.4660 0.8720
H3 0.4660 0.7857 0.3720
H4 0.2143 0.5340 0.1280
H5 0.7423 0.3623 0.6243
H6 0.6377 0.2577 0.8757
H7 0.2577 0.6377 0.3757
H8 0.3623 0.7423 0.1243
H9 0.8511 0.7639 0.4408
H10 0.2361 0.1489 0.0592
H11 0.1489 0.2361 0.5592
H12 0.7639 0.8511 0.9408
H13 0.8888 0.8009 0.5460
H14 0.1991 0.1112 0.9540
H15 0.1112 0.1991 0.4540
H16 0.8009 0.8888 0.0460
C1 0.4841 0.9643 0.7860
C2 0.0357 0.5159 0.7140
C3 0.5159 0.0357 0.2140
C4 0.9643 0.4841 0.2860
O1 0.2913 0.9587 0.8454
O2 0.0413 0.7087 0.6546
O3 0.7087 0.0413 0.1546
O4 0.9587 0.2913 0.3454
O5 0.0515 0.5424 0.8007
O6 0.4576 0.9485 0.6993
O7 0.9485 0.4576 0.1993
O8 0.5424 0.0515 0.3007
O9 0.6865 0.9892 0.8167
O10 0.0108 0.3135 0.6833
O11 0.3135 0.0108 0.1833
O12 0.9892 0.6865 0.3167
O13 0.5938 0.3559 0.5940
O14 0.6441 0.4062 0.9060
O15 0.4062 0.6441 0.4060
O16 0.3559 0.5938 0.0940
O17 0.2215 0.1505 0.5041
O18 0.8495 0.7785 0.9959
O19 0.7785 0.8495 0.4959
O20 0.1505 0.2215 0.0041

Below is Na2CoH4C4O8 after structural relaxation, with properties calculated at the GGA+U level.

a b c (Å): 9.2377 9.2377 6.8891
angles (deg): 74.36 74.36 58.10
Sites, in units of the cell vectors:
Na1 0.7016 0.5068 0.8162
Na2 0.4932 0.2984 0.6838
Na3 0.2984 0.4932 0.1838
Na4 0.5068 0.7016 0.3162
Co1 0.0000 0.5000 0.0000
Co2 0.5000 0.0000 0.5000
H1 0.0858 0.7704 0.6261
H2 0.2296 0.9142 0.8739
H3 0.9142 0.2296 0.3739
H4 0.7704 0.0858 0.1261
H5 0.8000 0.9015 0.9076
H6 0.0985 0.2000 0.5924
H7 0.2000 0.0985 0.0924
H8 0.9015 0.8000 0.4076
C1 0.7469 0.8635 0.8161
C2 0.1365 0.2531 0.6839
C3 0.2531 0.1365 0.1839
C4 0.8635 0.7469 0.3161
C5 0.1962 0.6362 0.6417
C6 0.3638 0.8038 0.8583
C7 0.8038 0.3638 0.3583
C8 0.6362 0.1962 0.1417
O1 0.2005 0.5441 0.8181
O2 0.4559 0.7995 0.6819
O3 0.7995 0.4559 0.1819
O4 0.5441 0.2005 0.3181
O5 0.8004 0.7042 0.8290
O6 0.2958 0.1996 0.6710
O7 0.1996 0.2958 0.1710
O8 0.7042 0.8004 0.3290
O9 0.6383 0.9872 0.7068
O10 0.0128 0.3617 0.7932
O11 0.3617 0.0128 0.2932
O12 0.9872 0.6383 0.2068
O13 0.3081 0.5867 0.4867
O14 0.4133 0.6919 0.0133
O15 0.6919 0.4133 0.5133
O16 0.5867 0.3081 0.9867

Below is Na2U2CoH8C12O28 after structural relaxation, with properties calculated at the GGA+U level.

a b c (Å): 6.5282 7.9165 13.0056
angles (deg): 75.70 84.65 67.67
Sites, in units of the cell vectors:
Na1 0.7472 0.8384 0.7911
Na2 0.2528 0.1616 0.2089
U1 0.7632 0.3375 0.8034
U2 0.2368 0.6625 0.1966
Co1 0.5000 0.0000 0.5000
H1 0.9161 0.8522 0.5755
H2 0.0839 0.1478 0.4245
H3 0.8062 0.0606 0.5937
H4 0.1938 0.9394 0.4063
H5 0.7510 0.9785 0.3191
H6 0.2490 0.0215 0.6809
H7 0.6479 0.1933 0.3256
H8 0.3521 0.8067 0.6744
C1 0.3092 0.2499 0.7739
C2 0.6908 0.7501 0.2261
C3 0.2153 0.4551 0.7808
C4 0.7847 0.5449 0.2192
C5 0.8034 0.3870 0.5436
C6 0.1966 0.6130 0.4564
C7 0.6966 0.5903 0.5606
C8 0.3034 0.4097 0.4394
C9 0.5244 0.5898 0.9788
C10 0.4756 0.4102 0.0212
C11 0.9735 0.9322 0.9752
C12 0.0265 0.0678 0.0248
O1 0.1694 0.1768 0.7667
O2 0.8306 0.8232 0.2333
O3 0.0073 0.5284 0.7899
O4 0.9927 0.4716 0.2101
O5 0.3535 0.5337 0.7761
O6 0.6465 0.4663 0.2239
O7 0.5175 0.1692 0.7747
O8 0.4825 0.8308 0.2253
O9 0.8220 0.2616 0.6320
O10 0.1780 0.7384 0.3680
O11 0.6807 0.5987 0.6582
O12 0.3193 0.4013 0.3418
O13 0.6331 0.7287 0.4829
O14 0.3669 0.2713 0.5171
O15 0.8611 0.3555 0.4548
O16 0.1389 0.6445 0.5452
O17 0.6312 0.5996 0.8921
O18 0.3688 0.4004 0.1079
O19 0.4565 0.7130 0.0326
O20 0.5435 0.2870 0.9674
O21 0.8891 0.9993 0.8824
O22 0.1109 0.0007 0.1176
O23 0.0159 0.7673 0.0291
O24 0.9841 0.2327 0.9709
O25 0.7781 0.9445 0.5981
O26 0.2219 0.0555 0.4019
O27 0.6926 0.0642 0.3681
O28 0.3074 0.9358 0.6319

Below is CoH8C4O8 after structural relaxation, with properties calculated at the GGA+U level.

a b c (Å): 7.0235 8.0808 8.0808
angles (deg): 111.57 95.59 95.59
Sites, in units of the cell vectors:
Co1 0.5000 0.0000 0.5000
Co2 0.0000 0.5000 0.0000
H1 0.2666 0.2273 0.4765
H2 0.2334 0.5235 0.7727
H3 0.7334 0.7727 0.5235
H4 0.7666 0.4765 0.2273
H5 0.4535 0.2785 0.4041
H6 0.0465 0.5959 0.7215
H7 0.5465 0.7215 0.5959
H8 0.9535 0.4041 0.2785
H9 0.1363 0.8611 0.5551
H10 0.3637 0.4449 0.1389
H11 0.8637 0.1389 0.4449
H12 0.6363 0.5551 0.8611
H13 0.1293 0.8460 0.3508
H14 0.3707 0.6492 0.1540
H15 0.8707 0.1540 0.6492
H16 0.6293 0.3508 0.8460
C1 0.4924 0.9499 0.1010
C2 0.0076 0.8990 0.0501
C3 0.5076 0.0501 0.8990
C4 0.9924 0.1010 0.9499
C5 0.4986 0.8696 0.9063
C6 0.0014 0.0937 0.1304
C7 0.5014 0.1304 0.0937
C8 0.9986 0.9063 0.8696
O1 0.4079 0.2432 0.5018
O2 0.0921 0.4982 0.7568
O3 0.5921 0.7568 0.4982
O4 0.9079 0.5018 0.2432
O5 0.4829 0.8829 0.2191
O6 0.0171 0.7809 0.1171
O7 0.5171 0.1171 0.7809
O8 0.9829 0.2191 0.8829
O9 0.4982 0.7110 0.7950
O10 0.0018 0.2050 0.2890
O11 0.5018 0.2890 0.2050
O12 0.9982 0.7950 0.7110
O13 0.2084 0.8960 0.4711
O14 0.2916 0.5289 0.1040
O15 0.7916 0.1040 0.5289
O16 0.7084 0.4711 0.8960

Below is CoHCO3 after structural relaxation, with properties calculated at the GGA+U level.

a b c (Å): 6.8731 8.1097 9.3617
angles (deg): 72.45 81.36 82.74
Sites, in units of the cell vectors:
Co1 0.9971 0.0337 0.7633
Co2 0.2631 0.2578 0.6141
Co3 0.7288 0.1415 0.9873
Co4 0.0029 0.9663 0.2367
Co5 0.7369 0.7422 0.3859
Co6 0.2712 0.8585 0.0127
H1 0.5082 0.8865 0.7430
H2 0.8423 0.4405 0.7130
H3 0.0134 0.7157 0.9174
H4 0.4918 0.1135 0.2570
H5 0.1577 0.5595 0.2870
H6 0.9866 0.2843 0.0826
C1 0.1614 0.4632 0.2233
C2 0.4289 0.2357 0.1828
C3 0.4202 0.5662 0.5213
C4 0.8386 0.5368 0.7767
C5 0.5711 0.7643 0.8172
C6 0.5798 0.4338 0.4787
O1 0.4801 0.2909 0.0456
O2 0.6876 0.6699 0.7353
O3 0.7381 0.9702 0.3099
O4 0.5199 0.7091 0.9544
O5 0.3124 0.3301 0.2647
O6 0.2619 0.0298 0.6901
O7 0.0428 0.4611 0.1423
O8 0.7376 0.0485 0.8319
O9 0.0022 0.2547 0.6385
O10 0.9572 0.5389 0.8577
O11 0.2624 0.9515 0.1681
O12 0.9978 0.7453 0.3615
O13 0.9435 0.1738 0.0799
O14 0.5407 0.2761 0.5200
O15 0.2605 0.5067 0.5950
O16 0.0565 0.8262 0.9201
O17 0.4593 0.7239 0.4800
O18 0.7395 0.4933 0.4050

Properties
Energy above the most stable polymorph in this dataset: 12.4 kJ/mol of atoms

Below is CoH8C2O10 after structural relaxation, with properties calculated at the GGA+U level.

a b c (Å): 6.0313 6.4588 11.9863
angles (deg): 65.53 90.00 90.00
Sites, in units of the cell vectors:
Co1 0.0000 0.0000 0.0000
Co2 0.5000 0.0000 0.5000
H1 0.6837 0.2848 0.9306
H2 0.6903 0.7885 0.9827
H3 0.9112 0.4220 0.8847
H4 0.8526 0.8293 0.8602
H5 0.4112 0.5780 0.6153
H6 0.3526 0.1707 0.6398
H7 0.1837 0.7152 0.5694
H8 0.1903 0.2115 0.5173
H9 0.8097 0.7885 0.4827
H10 0.8163 0.2848 0.4306
H11 0.6474 0.8293 0.3602
H12 0.5888 0.4220 0.3847
H13 0.1474 0.1707 0.1398
H14 0.0888 0.5780 0.1153
H15 0.3097 0.2115 0.0173
H16 0.3163 0.7152 0.0694
C1 0.3441 0.2538 0.8254
C2 0.8441 0.7462 0.6746
C3 0.1559 0.2538 0.3254
C4 0.6559 0.7462 0.1746
O1 0.8475 0.2836 0.9537
O2 0.4294 0.3266 0.9007
O3 0.7895 0.9046 0.9134
O4 0.1754 0.1104 0.8571
O5 0.9160 0.6886 0.7836
O6 0.4160 0.3114 0.7164
O7 0.6754 0.8896 0.6429
O8 0.9294 0.6734 0.5993
O9 0.3475 0.7164 0.5463
O10 0.2895 0.0954 0.5866
O11 0.7105 0.9046 0.4134
O12 0.6525 0.2836 0.4537
O13 0.0706 0.3266 0.4007
O14 0.3246 0.1104 0.3571
O15 0.5840 0.6886 0.2836
O16 0.0840 0.3114 0.2164
O17 0.8246 0.8896 0.1429
O18 0.2105 0.0954 0.0866
O19 0.5706 0.6734 0.0993
O20 0.1525 0.7164 0.0463

Respective formation energy from the elements values: -1.57; -1.36; -1.74; -1.12; -1.01; -1.35 eV per atom.
Respective magnetic moment values: 0.130; 0.053; 0.057; 0.143; 0.389; 0.048 μB/atom.